Compound: Cs3EuF6
Source: Materials Project
Functional: GGA-PBE
Structure: optimized geometry

a = 7.2711 Å, b = 7.2711 Å, c = 7.2711 Å
α = 119.99°, β = 119.99°, γ = 90.02°
Fractional positions:
F (0.2260, 0.2260, 0.0000)
Cs (0.5000, 0.5000, 0.0000)
F (0.0000, 0.6950, 0.6950)
Cs (0.2500, 0.7500, 0.5000)
F (0.0000, 0.3050, 0.3050)
Eu (0.0000, 0.0000, 0.0000)
Cs (0.7500, 0.2500, 0.5000)
F (0.6950, 0.0000, 0.6950)
F (0.3050, 0.0000, 0.3050)
F (0.7740, 0.7740, 0.0000)

Computed properties:
E_form (eV per atom): -3.25
Final energy (eV/atom): -5.42
Total energy after the MP2020 corrections (Ha/atom): -0.209
Symmetry: No. 139

***

Compound: CsEuP4O12
Source: Materials Project
Functional: GGA-PBE
Structure: optimized geometry

a = 9.1381 Å, b = 10.6425 Å, c = 13.1675 Å
α = 56.28°, β = 90.00°, γ = 90.00°
Fractional positions:
O (0.2444, 0.5723, 0.9873)
Cs (0.9358, 0.2252, 0.4611)
O (0.7933, 0.2799, 0.7433)
O (0.3389, 0.8398, 0.3451)
O (0.4621, 0.0484, 0.5931)
O (0.5379, 0.9516, 0.4069)
O (0.5346, 0.3666, 0.6683)
O (0.0379, 0.0484, 0.0931)
Eu (0.2743, 0.3175, 0.6807)
Cs (0.5642, 0.2252, 0.9611)
P (0.5923, 0.3860, 0.2580)
O (0.6608, 0.7000, 0.4875)
P (0.0309, 0.9655, 0.7868)
O (0.4196, 0.0777, 0.7731)
O (0.5804, 0.9223, 0.2269)
O (0.7556, 0.4277, 0.0127)
P (0.6033, 0.7992, 0.5264)
O (0.1608, 0.3000, 0.0125)
P (0.1033, 0.2008, 0.9736)
O (0.0804, 0.0777, 0.2731)
Eu (0.7257, 0.6825, 0.3193)
O (0.5495, 0.2665, 0.3993)
P (0.6752, 0.3250, 0.6351)
O (0.8389, 0.1602, 0.1549)
P (0.1752, 0.6750, 0.8649)
O (0.0972, 0.1195, 0.7087)
P (0.3248, 0.6750, 0.3649)
O (0.1746, 0.4855, 0.2525)
O (0.9196, 0.9223, 0.7269)
O (0.6746, 0.5145, 0.2475)
O (0.9621, 0.5793, 0.3229)
O (0.6611, 0.1602, 0.6549)
P (0.3967, 0.2008, 0.4736)
O (0.2926, 0.1634, 0.4056)
O (0.9621, 0.9516, 0.9069)
O (0.2933, 0.7201, 0.7567)
P (0.4691, 0.9655, 0.2868)
O (0.4505, 0.7335, 0.6007)
O (0.9505, 0.2665, 0.8993)
Cs (0.4358, 0.7748, 0.0389)
O (0.5972, 0.8805, 0.7913)
O (0.5379, 0.5793, 0.8229)
O (0.3254, 0.4855, 0.7525)
O (0.4621, 0.4207, 0.1771)
O (0.1611, 0.8398, 0.8451)
O (0.2067, 0.7201, 0.2567)
P (0.0923, 0.6140, 0.2420)
O (0.2074, 0.1634, 0.9056)
P (0.8248, 0.3250, 0.1351)
P (0.9691, 0.0345, 0.2132)
O (0.8254, 0.5145, 0.7475)
O (0.4654, 0.6334, 0.3317)
P (0.4077, 0.6140, 0.7420)
O (0.0495, 0.7335, 0.1007)
P (0.5309, 0.0345, 0.7132)
O (0.9028, 0.8805, 0.2913)
P (0.8967, 0.7992, 0.0264)
O (0.0379, 0.4207, 0.6771)
O (0.8392, 0.7000, 0.9875)
Eu (0.7743, 0.6825, 0.8193)
Cs (0.0642, 0.7748, 0.5389)
P (0.9077, 0.3860, 0.7580)
O (0.9654, 0.3666, 0.1683)
O (0.7444, 0.4277, 0.5127)
O (0.0346, 0.6334, 0.8317)
Eu (0.2257, 0.3175, 0.1807)
O (0.2556, 0.5723, 0.4873)
O (0.4028, 0.1195, 0.2087)
O (0.3392, 0.3000, 0.5125)
O (0.7926, 0.8366, 0.0944)
O (0.7067, 0.2799, 0.2433)
O (0.7074, 0.8366, 0.5944)

Computed properties:
E_form (eV per atom): -2.79
Final energy (eV/atom): -7.46
Total energy after the MP2020 corrections (Ha/atom): -0.291
Magnetic moment (μB per atom): 0.333
Symmetry: No. 14

***

Compound: Cs3EuSi6O15
Source: Materials Project
Functional: GGA-PBE
Structure: optimized geometry

a = 7.3099 Å, b = 8.6948 Å, c = 28.9448 Å
α = 90.00°, β = 90.00°, γ = 105.03°
Fractional positions:
O (0.8676, 0.1723, 0.0674)
O (0.4959, 0.0260, 0.0569)
O (0.2535, 0.1768, 0.8661)
Eu (0.9922, 0.9606, 0.8763)
Si (0.1711, 0.6400, 0.5572)
Eu (0.5078, 0.5394, 0.3763)
O (0.6716, 0.2318, 0.9931)
Cs (0.2151, 0.1855, 0.7442)
Si (0.6711, 0.1400, 0.9428)
O (0.5276, 0.0341, 0.2244)
Eu (0.4922, 0.4606, 0.6237)
Cs (0.7849, 0.8145, 0.2558)
Si (0.3103, 0.8138, 0.7980)
Cs (0.9970, 0.5401, 0.1368)
O (0.6324, 0.3277, 0.5674)
Si (0.4675, 0.2809, 0.8633)
O (0.3821, 0.6474, 0.3136)
Si (0.4790, 0.3433, 0.1219)
O (0.2351, 0.8233, 0.2573)
Cs (0.7955, 0.7185, 0.0011)
Si (0.6612, 0.1086, 0.7918)
O (0.9724, 0.4659, 0.7244)
O (0.1179, 0.8526, 0.8136)
O (0.4724, 0.9659, 0.7756)
O (0.4683, 0.4697, 0.8614)
Si (0.0325, 0.2191, 0.3633)
O (0.3676, 0.6723, 0.4326)
O (0.4030, 0.6630, 0.9270)
Si (0.1897, 0.6862, 0.2980)
Cs (0.5030, 0.9599, 0.6368)
O (0.6179, 0.3526, 0.6864)
Cs (0.2849, 0.3145, 0.2442)
O (0.9030, 0.1630, 0.5730)
O (0.0819, 0.7587, 0.3387)
Si (0.3328, 0.8129, 0.9511)
O (0.8925, 0.2369, 0.4064)
Si (0.3388, 0.8914, 0.2082)
Cs (0.2045, 0.2815, 0.9989)
O (0.4181, 0.7413, 0.8387)
O (0.1075, 0.7631, 0.5936)
Cs (0.7045, 0.7815, 0.5011)
Si (0.8388, 0.3914, 0.2918)
O (0.3925, 0.7369, 0.0936)
Si (0.5325, 0.7191, 0.1367)
O (0.0786, 0.7522, 0.6851)
O (0.2556, 0.2722, 0.1176)
Si (0.1612, 0.6086, 0.7082)
O (0.9683, 0.9697, 0.6386)
O (0.2465, 0.3232, 0.3661)
O (0.4214, 0.7478, 0.1851)
O (0.8821, 0.1474, 0.1864)
Eu (0.0078, 0.0394, 0.1237)
O (0.1324, 0.8277, 0.9326)
O (0.5819, 0.2587, 0.1613)
O (0.7535, 0.6768, 0.6339)
Cs (0.7151, 0.6855, 0.7558)
O (0.1716, 0.7318, 0.5069)
O (0.1243, 0.8859, 0.0686)
Si (0.3289, 0.8600, 0.0572)
O (0.2649, 0.6767, 0.7573)
O (0.7649, 0.1767, 0.7427)
O (0.8108, 0.0522, 0.8227)
O (0.5041, 0.9740, 0.9431)
Si (0.5210, 0.6567, 0.8781)
O (0.7444, 0.7278, 0.8824)
O (0.0970, 0.8370, 0.4270)
O (0.5317, 0.5303, 0.1386)
O (0.5970, 0.3370, 0.0730)
Si (0.6672, 0.1871, 0.0489)
Cs (0.4970, 0.0401, 0.3632)
O (0.3757, 0.6141, 0.5686)
Si (0.8103, 0.3138, 0.7020)
O (0.7351, 0.3233, 0.2427)
Si (0.0210, 0.1567, 0.6219)
Si (0.9790, 0.8433, 0.3781)
Cs (0.2955, 0.2185, 0.4989)
O (0.6075, 0.2631, 0.9064)
O (0.7556, 0.7722, 0.3824)
O (0.9181, 0.2413, 0.6613)
Si (0.9675, 0.7809, 0.6367)
O (0.8757, 0.1141, 0.9314)
O (0.3284, 0.7682, 0.0069)
O (0.7465, 0.8232, 0.1339)
O (0.0317, 0.0303, 0.3614)
O (0.0276, 0.5341, 0.2756)
O (0.8284, 0.2682, 0.4931)
O (0.6243, 0.3859, 0.4314)
Cs (0.0030, 0.4599, 0.8632)
Si (0.6897, 0.1862, 0.2020)
O (0.5786, 0.2522, 0.8149)
O (0.1892, 0.9478, 0.1773)
O (0.9959, 0.5260, 0.4431)
O (0.9214, 0.2478, 0.3149)
Si (0.8289, 0.3600, 0.4428)
Si (0.1672, 0.6871, 0.4511)
Si (0.8328, 0.3129, 0.5489)
O (0.2444, 0.2278, 0.6176)
O (0.3108, 0.5522, 0.6773)
O (0.0041, 0.4740, 0.5569)
O (0.6892, 0.4478, 0.3227)

Computed properties:
E_form (eV per atom): -3.09
Final energy (eV/atom): -7.47
Total energy after the MP2020 corrections (Ha/atom): -0.290
Magnetic moment (μB per atom): 0.240
Symmetry: No. 14

***

Compound: CsEuS2
Source: Materials Project
Functional: GGA-PBE
Structure: optimized geometry

a = 8.3983 Å, b = 8.3983 Å, c = 8.3983 Å
α = 29.39°, β = 29.39°, γ = 29.39°
Fractional positions:
S (0.2279, 0.2279, 0.2279)
Eu (0.5000, 0.5000, 0.5000)
Cs (0.0000, 0.0000, 0.0000)
S (0.7721, 0.7721, 0.7721)

Computed properties:
E_form (eV per atom): -1.75
Final energy (eV/atom): -6.36
Total energy after the MP2020 corrections (Ha/atom): -0.243
Magnetic moment (μB per atom): 1.500
Symmetry: No. 166

***

Compound: CsEuS2
Source: Materials Project
Functional: GGA-PBE
Structure: optimized geometry

a = 4.2665 Å, b = 4.2665 Å, c = 16.0265 Å
α = 90.00°, β = 90.00°, γ = 120.00°
Fractional positions:
S (0.6667, 0.3333, 0.9080)
S (0.6667, 0.3333, 0.5920)
Cs (0.3333, 0.6667, 0.7500)
Eu (0.0000, 0.0000, 0.0000)
S (0.3333, 0.6667, 0.4080)
Cs (0.6667, 0.3333, 0.2500)
S (0.3333, 0.6667, 0.0920)
Eu (0.0000, 0.0000, 0.5000)

Computed properties:
E_form (eV per atom): -1.75
Final energy (eV/atom): -6.36
Total energy after the MP2020 corrections (Ha/atom): -0.243
Magnetic moment (μB per atom): 1.500
Symmetry: No. 194

***

Compound: CsEuSiS4
Source: Materials Project
Functional: GGA-PBE
Structure: optimized geometry

a = 6.6096 Å, b = 6.8129 Å, c = 18.2569 Å
α = 90.00°, β = 90.00°, γ = 90.00°
Fractional positions:
S (0.1118, 0.2432, 0.8453)
Si (0.2105, 0.0183, 0.3328)
S (0.0444, 0.5124, 0.0971)
S (0.4556, 0.4876, 0.5971)
Cs (0.4991, 0.4938, 0.9662)
S (0.5743, 0.7458, 0.1449)
S (0.6126, 0.4311, 0.7771)
S (0.8882, 0.7432, 0.6547)
S (0.6118, 0.2568, 0.1547)
S (0.3874, 0.9311, 0.7229)
S (0.1126, 0.0689, 0.2229)
Cs (0.5009, 0.9938, 0.5338)
S (0.5444, 0.9876, 0.9029)
Cs (0.9991, 0.0062, 0.0338)
S (0.3882, 0.7568, 0.3453)
Eu (0.2904, 0.4754, 0.2277)
Eu (0.7904, 0.0246, 0.7723)
S (0.9556, 0.0124, 0.4029)
S (0.4257, 0.2458, 0.3551)
Si (0.7895, 0.5183, 0.1672)
S (0.8874, 0.5689, 0.2771)
Si (0.2895, 0.9817, 0.8328)
Cs (0.0009, 0.5062, 0.4662)
S (0.9257, 0.2542, 0.6449)
Eu (0.2096, 0.5246, 0.7277)
S (0.0743, 0.7542, 0.8551)
Si (0.7105, 0.4817, 0.6672)
Eu (0.7096, 0.9754, 0.2723)

Computed properties:
E_form (eV per atom): -1.56
Final energy (eV/atom): -6.00
Total energy after the MP2020 corrections (Ha/atom): -0.231
Symmetry: No. 19

***

Compound: CsF
Source: Materials Project
Functional: GGA-PBE
Structure: optimized geometry

a = 4.3261 Å, b = 4.3261 Å, c = 4.3261 Å
α = 60.00°, β = 60.00°, γ = 60.00°
Fractional positions:
Cs (0.0000, 0.0000, 0.0000)
F (0.5000, 0.5000, 0.5000)

Computed properties:
E_form (eV per atom): -2.84
Final energy (eV/atom): -4.02
Total energy after the MP2020 corrections (Ha/atom): -0.156
Symmetry: No. 225

***

Compound: CsF
Source: Materials Project
Functional: GGA-PBE
Structure: optimized geometry

a = 3.7021 Å, b = 3.7021 Å, c = 3.7021 Å
α = 90.00°, β = 90.00°, γ = 90.00°
Fractional positions:
Cs (0.0000, 0.0000, 0.0000)
F (0.5000, 0.5000, 0.5000)

Computed properties:
E_form (eV per atom): -2.73
Final energy (eV/atom): -3.91
Total energy after the MP2020 corrections (Ha/atom): -0.152
Magnetic moment (μB per atom): 0.000
Symmetry: No. 221

***

Compound: Cs3Ga2F9
Source: Materials Project
Functional: GGA-PBE
Structure: optimized geometry

a = 11.1136 Å, b = 11.1136 Å, c = 15.2153 Å
α = 90.00°, β = 90.00°, γ = 120.00°
Fractional positions:
Cs (0.0000, 0.6628, 0.3520)
F (0.8512, 0.8512, 0.3519)
F (0.0000, 0.1488, 0.3519)
Ga (0.0000, 0.0000, 0.4070)
F (0.1868, 0.5164, 0.0279)
F (0.1868, 0.6704, 0.5279)
Cs (0.3197, 0.0000, 0.1820)
Cs (0.6628, 0.6628, 0.8520)
Cs (0.0000, 0.6803, 0.6820)
F (0.3296, 0.8132, 0.0279)
F (0.6688, 0.1863, 0.8306)
F (0.1863, 0.6688, 0.8306)
F (0.6688, 0.4825, 0.3306)
F (0.8512, 0.0000, 0.8519)
Ga (0.6667, 0.3333, 0.2741)
F (0.0000, 0.1308, 0.0018)
Ga (0.0000, 0.0000, 0.5969)
Cs (0.0000, 0.3372, 0.8520)
F (0.1488, 0.1488, 0.8519)
Cs (0.6554, 0.6554, 0.4995)
F (0.4625, 0.6636, 0.6795)
F (0.4825, 0.6688, 0.3306)
F (0.1487, 0.1487, 0.1523)
F (0.8132, 0.3296, 0.0279)
F (0.0000, 0.8692, 0.5018)
F (0.3364, 0.7989, 0.6795)
Ga (0.0000, 0.0000, 0.9070)
F (0.8137, 0.4825, 0.8306)
F (0.6704, 0.4836, 0.0279)
Cs (0.0000, 0.6554, 0.9995)
F (0.5175, 0.1863, 0.3306)
Cs (0.6803, 0.0000, 0.6820)
Ga (0.3333, 0.6667, 0.7741)
F (0.0000, 0.8513, 0.1523)
Ga (0.3333, 0.6667, 0.2741)
Cs (0.3446, 0.0000, 0.4995)
Ga (0.6667, 0.3333, 0.0841)
F (0.8692, 0.0000, 0.5018)
F (0.7989, 0.3364, 0.6795)
Cs (0.0000, 0.3197, 0.1820)
F (0.3296, 0.5164, 0.5279)
F (0.4836, 0.6704, 0.0279)
F (0.4625, 0.7989, 0.1795)
F (0.4825, 0.8137, 0.8306)
F (0.3312, 0.8137, 0.3306)
Cs (0.3372, 0.3372, 0.3520)
Ga (0.3333, 0.6667, 0.5841)
Ga (0.6667, 0.3333, 0.5841)
Cs (0.3197, 0.3197, 0.6820)
Cs (0.6628, 0.0000, 0.3520)
Cs (0.3372, 0.0000, 0.8520)
F (0.7989, 0.4625, 0.1795)
F (0.4836, 0.8132, 0.5279)
F (0.2011, 0.6636, 0.1795)
F (0.3364, 0.5375, 0.1795)
F (0.1308, 0.0000, 0.0018)
Cs (0.6803, 0.6803, 0.1820)
F (0.8132, 0.4836, 0.5279)
F (0.6636, 0.4625, 0.6795)
Ga (0.0000, 0.0000, 0.0969)
F (0.1488, 0.0000, 0.3519)
F (0.6636, 0.2011, 0.1795)
Ga (0.3333, 0.6667, 0.0841)
F (0.5164, 0.1868, 0.0279)
F (0.8513, 0.0000, 0.1523)
F (0.1487, 0.0000, 0.6523)
F (0.2011, 0.5375, 0.6795)
F (0.5175, 0.3312, 0.8306)
F (0.8513, 0.8513, 0.6523)
Cs (0.3446, 0.3446, 0.9995)
F (0.1308, 0.1308, 0.5018)
F (0.5375, 0.2011, 0.6795)
Cs (0.6554, 0.0000, 0.9995)
Ga (0.6667, 0.3333, 0.7741)
F (0.6704, 0.1868, 0.5279)
F (0.0000, 0.8512, 0.8519)
F (0.1863, 0.5175, 0.3306)
F (0.0000, 0.1487, 0.6523)
F (0.8692, 0.8692, 0.0018)
F (0.5164, 0.3296, 0.5279)
F (0.3312, 0.5175, 0.8306)
F (0.8137, 0.3312, 0.3306)
F (0.5375, 0.3364, 0.1795)
Cs (0.0000, 0.3446, 0.4995)

Computed properties:
E_form (eV per atom): -3.06
Final energy (eV/atom): -4.61
Total energy after the MP2020 corrections (Ha/atom): -0.180
Magnetic moment (μB per atom): 0.002
Symmetry: No. 185

***

Compound: Cs2GaHgF6
Source: Materials Project
Functional: GGA-PBE
Structure: optimized geometry

a = 6.5011 Å, b = 6.5011 Å, c = 6.5011 Å
α = 60.00°, β = 60.00°, γ = 60.00°
Fractional positions:
F (0.2117, 0.7883, 0.2117)
F (0.7883, 0.7883, 0.2117)
F (0.2117, 0.7883, 0.7883)
Cs (0.7500, 0.7500, 0.7500)
F (0.7883, 0.2117, 0.7883)
Ga (0.0000, 0.0000, 0.0000)
F (0.7883, 0.2117, 0.2117)
F (0.2117, 0.2117, 0.7883)
Cs (0.2500, 0.2500, 0.2500)
Hg (0.5000, 0.5000, 0.5000)

Computed properties:
E_form (eV per atom): -2.63
Final energy (eV/atom): -4.01
Total energy after the MP2020 corrections (Ha/atom): -0.158
Magnetic moment (μB per atom): 0.006
Symmetry: No. 225

***

Compound: CsK2GaF6
Source: Materials Project
Functional: GGA-PBE
Structure: optimized geometry

a = 6.6384 Å, b = 6.6384 Å, c = 6.6384 Å
α = 60.00°, β = 60.00°, γ = 60.00°
Fractional positions:
F (0.7947, 0.7947, 0.2053)
Ga (0.0000, 0.0000, 0.0000)
F (0.7947, 0.2053, 0.2053)
Cs (0.5000, 0.5000, 0.5000)
F (0.2053, 0.2053, 0.7947)
K (0.7500, 0.7500, 0.7500)
F (0.2053, 0.7947, 0.7947)
F (0.7947, 0.2053, 0.7947)
F (0.2053, 0.7947, 0.2053)
K (0.2500, 0.2500, 0.2500)

Computed properties:
E_form (eV per atom): -2.96
Final energy (eV/atom): -4.45
Total energy after the MP2020 corrections (Ha/atom): -0.174
Magnetic moment (μB per atom): 0.000
Symmetry: No. 225

***

Compound: Cs2KGaF6
Source: Materials Project
Functional: GGA-PBE
Structure: optimized geometry

a = 6.4751 Å, b = 6.4751 Å, c = 6.4751 Å
α = 60.00°, β = 60.00°, γ = 60.00°
Fractional positions:
F (0.7881, 0.2119, 0.7881)
Cs (0.2500, 0.2500, 0.2500)
K (0.5000, 0.5000, 0.5000)
F (0.2119, 0.2119, 0.7881)
F (0.2119, 0.7881, 0.7881)
F (0.7881, 0.7881, 0.2119)
Ga (0.0000, 0.0000, 0.0000)
F (0.7881, 0.2119, 0.2119)
F (0.2119, 0.7881, 0.2119)
Cs (0.7500, 0.7500, 0.7500)

Computed properties:
E_form (eV per atom): -3.08
Final energy (eV/atom): -4.54
Total energy after the MP2020 corrections (Ha/atom): -0.177
Magnetic moment (μB per atom): 0.000
Symmetry: No. 225